No. 1
Density functional theory data (GGA+U) for Li4V3O8 after structural relaxation.

Lattice parameters (Å, degrees): 5.8371 5.9215 8.3146 88.84 90.00 90.00
With the nearest neighbours (Å) after each atom.
Sites, in units of the cell vectors:
Li1 0.0000 0.0000 0.0000  6 O 2.04
Li2 0.5000 0.5000 0.5000  6 O 2.04
Li3 0.2500 0.7500 0.7500  6 O 2.12-2.29
Li4 0.7500 0.2500 0.2500  6 O 2.12-2.29
Li5 0.0000 0.5000 0.0000  6 O 2.12-2.29
Li6 0.5000 0.0000 0.5000  6 O 2.12-2.29
Li7 0.2500 0.2500 0.2500  6 O 2.12-2.29
Li8 0.7500 0.7500 0.7500  6 O 2.12-2.29
V1 0.7499 0.2499 0.7500  6 O 1.87-2.04
V2 0.5000 0.0001 0.9998  6 O 1.87-2.04
V3 0.2501 0.2499 0.7500  6 O 1.87-2.04
V4 0.2499 0.7499 0.2500  6 O 1.87-2.04
V5 0.0000 0.5001 0.4998  6 O 1.87-2.04
V6 0.7501 0.7500 0.2500  6 O 1.87-2.04
O1 0.5000 0.0086 0.7543  3 V 2.04, 3 Li 2.12
O2 0.0000 0.5086 0.2543  3 V 2.04, 3 Li 2.12
O3 0.0000 0.4914 0.7457  3 V 2.04, 3 Li 2.12
O4 0.5000 0.9914 0.2457  3 V 2.04, 3 Li 2.12
O5 0.2470 0.2639 0.5247  2 V 1.87-2.02, 1 Li 2.04
O6 0.7470 0.7639 0.0247  2 V 1.87-2.02, 1 Li 2.04
O7 0.4836 0.5332 0.2555  2 V 1.87-2.02, 1 Li 2.04
O8 0.9836 0.0332 0.7555  2 V 1.87-2.02, 1 Li 2.04
O9 0.2692 0.7802 0.0085  2 V 1.87-2.02, 1 Li 2.04
O10 0.7692 0.2802 0.5084  2 V 1.87-2.02, 1 Li 2.04
O11 0.2530 0.2361 0.9753  2 V 1.87-2.02, 1 Li 2.04
O12 0.7530 0.7361 0.4753  2 V 1.87-2.02, 1 Li 2.04
O13 0.0163 0.9668 0.2445  2 V 1.87-2.02, 1 Li 2.04
O14 0.5163 0.4668 0.7445  2 V 1.87-2.02, 1 Li 2.04
O15 0.2308 0.7198 0.4916  2 V 1.87-2.02, 1 Li 2.04
O16 0.7308 0.2198 0.9916  2 V 1.87-2.02, 1 Li 2.04

Results
E above lowest polymorph	0.039	eV per atom
ΔE_f	-2416	meV per atom

No. 2
Density functional theory data (GGA+U) for Sr6Ca2Mn3Fe5O24 after structural relaxation.

Lattice parameters (Å, degrees): 7.7742 7.7694 7.7941 90.00 90.01 90.00
With the nearest neighbours (Å) after each atom.
Sites, in units of the cell vectors:
Sr1 0.2503 0.0000 0.2490  12 O 2.74-2.78
Sr2 0.2503 0.0000 0.7510  12 O 2.74-2.77
Sr3 0.2503 0.5006 0.2489  12 O 2.74-2.76
Sr4 0.7497 0.0000 0.2490  12 O 2.74-2.77
Sr5 0.7497 0.0000 0.7510  12 O 2.74-2.78
Sr6 0.7497 0.5006 0.7511  12 O 2.74-2.76
Ca1 0.2504 0.5008 0.7515  12 O 2.71-2.76
Ca2 0.7496 0.5008 0.2485  12 O 2.71-2.76
Mn1 0.0000 0.7490 0.0000  6 O 1.90-1.95
Mn2 0.5000 0.2516 0.0000  6 O 1.92-1.96
Mn3 0.5000 0.7493 0.0000  6 O 1.92-1.95
Fe1 0.0000 0.2517 0.0000  6 O 1.96-1.98
Fe2 0.0000 0.2517 0.5000  6 O 1.92-1.95
Fe3 0.0000 0.7490 0.5000  6 O 1.94-1.97
Fe4 0.5000 0.2516 0.5000  6 O 1.93-1.97
Fe5 0.5000 0.7490 0.5000  6 O 1.93-1.97
O1 0.0000 0.0014 0.5000  2 Fe 1.95-1.96
O2 0.0000 0.4993 0.5000  2 Fe 1.92-1.94
O3 0.0000 0.5039 0.0000  1 Mn 1.90, 1 Fe 1.96
O4 0.0000 0.9968 0.0000  1 Mn 1.93, 1 Fe 1.98
O5 0.0018 0.2534 0.7481  2 Fe 1.93-1.96
O6 0.0019 0.7471 0.7531  1 Mn 1.92, 1 Fe 1.97
O7 0.2489 0.2532 0.5017  2 Fe 1.94-1.95
O8 0.2503 0.7473 0.5017  2 Fe 1.94-1.95
O9 0.2505 0.7469 0.9977  2 Mn 1.94-1.95
O10 0.2535 0.2534 0.9982  1 Mn 1.92, 1 Fe 1.97
O11 0.4981 0.2535 0.7531  1 Mn 1.92, 1 Fe 1.97
O12 0.4980 0.7470 0.7531  1 Mn 1.92, 1 Fe 1.97
O13 0.5000 0.9998 0.0000  2 Mn 1.95-1.96
O14 0.5000 0.0000 0.5000  2 Fe 1.95
O15 0.5000 0.5008 0.0000  2 Mn 1.93-1.94
O16 0.5000 0.5005 0.5000  2 Fe 1.93
O17 0.5019 0.2535 0.2469  1 Mn 1.92, 1 Fe 1.97
O18 0.5020 0.7470 0.2469  1 Mn 1.92, 1 Fe 1.97
O19 0.7465 0.2534 0.0018  1 Mn 1.92, 1 Fe 1.97
O20 0.7495 0.7469 0.0023  2 Mn 1.94-1.95
O21 0.7497 0.7473 0.4983  2 Fe 1.94-1.95
O22 0.7511 0.2532 0.4983  2 Fe 1.94-1.95
O23 0.9982 0.2534 0.2519  2 Fe 1.93-1.96
O24 0.9981 0.7471 0.2469  1 Mn 1.92, 1 Fe 1.97

Results
ΔE_f	-2301	meV per atom

No. 3
Density functional theory data (GGA+U) for NiPO4 after structural relaxation.

Lattice parameters (Å, degrees): 8.6654 8.6654 8.6654 108.40 108.40 108.40
With the nearest neighbours (Å) after each atom.
Sites, in units of the cell vectors:
Ni1 0.0041 0.1984 0.7976  4 O 1.84-1.86
Ni2 0.1984 0.7976 0.0041  4 O 1.84-1.86
Ni3 0.2850 0.6955 0.5218  4 O 1.84-1.86
Ni4 0.5218 0.2850 0.6955  4 O 1.84-1.86
Ni5 0.6955 0.5218 0.2850  4 O 1.84-1.86
Ni6 0.7976 0.0041 0.1984  4 O 1.84-1.86
P1 0.0375 0.8319 0.6394  4 O 1.54-1.56
P2 0.1423 0.3140 0.5470  4 O 1.54-1.56
P3 0.3140 0.5470 0.1423  4 O 1.54-1.56
P4 0.5470 0.1423 0.3140  4 O 1.54-1.56
P5 0.6394 0.0375 0.8319  4 O 1.54-1.56
P6 0.8319 0.6394 0.0375  4 O 1.54-1.56
O1 0.0321 0.3194 0.6587  1 P 1.56
O2 0.0347 0.7634 0.0990  1 P 1.54
O3 0.0409 0.1234 0.3752  1 P 1.56
O4 0.0765 0.7349 0.7578  1 P 1.54
O5 0.0990 0.0347 0.7634  1 P 1.54
O6 0.1234 0.3752 0.0409  1 P 1.56
O7 0.1456 0.8190 0.5259  1 P 1.56
O8 0.1507 0.4608 0.4822  1 P 1.54
O9 0.3194 0.6587 0.0321  1 P 1.56
O10 0.3356 0.3502 0.6700  1 P 1.54
O11 0.3502 0.6700 0.3356  1 P 1.54
O12 0.3752 0.0409 0.1234  1 P 1.56
O13 0.4608 0.4822 0.1507  1 P 1.54
O14 0.4822 0.1507 0.4608  1 P 1.54
O15 0.5037 0.8299 0.7388  1 P 1.55
O16 0.5259 0.1456 0.8190  1 P 1.56
O17 0.6587 0.0321 0.3194  1 P 1.56
O18 0.6700 0.3356 0.3502  1 P 1.54
O19 0.7349 0.7578 0.0765  1 P 1.54
O20 0.7388 0.5037 0.8299  1 P 1.55
O21 0.7578 0.0765 0.7349  1 P 1.54
O22 0.7634 0.0990 0.0347  1 P 1.54
O23 0.8190 0.5259 0.1456  1 P 1.56
O24 0.8299 0.7388 0.5037  1 P 1.55

Results
ΔE_f	-1884	meV per atom

No. 4
Density functional theory data (GGA+U) for AlNi2O4 after structural relaxation.

Lattice parameters (Å, degrees): 5.8037 5.8037 5.8037 60.00 60.00 60.00
With the nearest neighbours (Å) after each atom.
Sites, in units of the cell vectors:
Al1 0.1250 0.1250 0.1250  4 O 1.81
Al2 0.8750 0.8750 0.8750  4 O 1.81
Ni1 0.0000 0.5000 0.5000  6 O 2.03
Ni2 0.5000 0.0000 0.5000  6 O 2.03
Ni3 0.5000 0.5000 0.0000  6 O 2.03
Ni4 0.5000 0.5000 0.5000  6 O 2.03
O1 0.2521 0.2521 0.2521  1 Al 1.81
O2 0.2521 0.2521 0.7436  1 Al 1.81
O3 0.2521 0.7436 0.2521  1 Al 1.81
O4 0.2564 0.7479 0.7479  1 Al 1.81
O5 0.7436 0.2521 0.2521  1 Al 1.81
O6 0.7479 0.2564 0.7479  1 Al 1.81
O7 0.7479 0.7479 0.2564  1 Al 1.81
O8 0.7479 0.7479 0.7479  1 Al 1.81

Results
E above lowest polymorph	0.000	eV per atom
ΔE_f	-1912	meV per atom